# MgPd3 GGA-PBE optimized geometry
# **Calculated total energy**: -4.77 eV/atom
# **DFT formation energy**: -0.483 eV/atom
data_MgPd3
_chemical_formula_sum 'Mg2 Pd6'
_cell_length_a 4.018
_cell_length_b 4.018
_cell_length_c 7.809
_cell_angle_alpha 90.00
_cell_angle_beta 90.00
_cell_angle_gamma 90.00
_space_group_name_H-M_alt 'I 4/m m m'
_space_group_IT_number 139
_space_group_name_Hall '-I 4 2'
loop_
_atom_site_label
_atom_site_fract_x
_atom_site_fract_y
_atom_site_fract_z
Mg1 0.000 0.000 0.000
Pd1 0.000 0.000 0.500
Pd2 0.000 0.500 0.250